1.
VASP calculation (PBE-GGA) on an optimized crystal structure of CuBClO4.

a b c (Å): 5.578 5.578 5.630
angles (deg): 90.00 90.00 90.00
Element x y z (fractional)
B: 0.000 0.000 0.500
B: 0.500 0.500 0.500
O: 0.182 0.911 0.333
O: 0.089 0.182 0.667
O: 0.318 0.589 0.667
O: 0.589 0.682 0.333
O: 0.411 0.318 0.333
O: 0.911 0.818 0.667
O: 0.682 0.411 0.667
O: 0.818 0.089 0.333
Cl: 0.000 0.500 0.187
Cl: 0.500 0.000 0.813
Cu: 0.500 0.000 0.338
Cu: 0.000 0.500 0.662

Results
- Total energy after the MP2020 corrections: -38.5 eV per formula unit
- Formation energy: -84 kJ per mole of atoms
- Space-group type: P4/n

2.
VASP calculation (PBE-GGA) on an optimized crystal structure of Zr9Ni2P4.

a b c (Å): 12.068 12.068 3.705
angles (deg): 90.00 90.00 90.00
Element x y z (fractional)
Zr: 0.904 0.596 0.000
Zr: 0.596 0.096 0.000
Zr: 0.681 0.602 0.500
Zr: 0.602 0.319 0.500
Zr: 0.102 0.181 0.500
Zr: 0.500 0.500 0.000
Zr: 0.380 0.120 0.500
Zr: 0.000 0.000 0.000
Zr: 0.404 0.904 0.000
Zr: 0.398 0.681 0.500
Zr: 0.898 0.819 0.500
Zr: 0.181 0.898 0.500
Zr: 0.096 0.404 0.000
Zr: 0.819 0.102 0.500
Zr: 0.120 0.620 0.500
Zr: 0.620 0.880 0.500
Zr: 0.319 0.398 0.500
Zr: 0.880 0.380 0.500
Ni: 0.254 0.246 0.000
Ni: 0.754 0.254 0.000
Ni: 0.746 0.754 0.000
Ni: 0.246 0.746 0.000
P: 0.557 0.724 0.000
P: 0.776 0.943 0.000
P: 0.224 0.057 0.000
P: 0.057 0.776 0.000
P: 0.943 0.224 0.000
P: 0.443 0.276 0.000
P: 0.724 0.443 0.000
P: 0.276 0.557 0.000

Results
- Formation energy: -95 kJ per mole of atoms
- Space-group type: P4/mbm

3.
VASP calculation (PBE-GGA) on an optimized crystal structure of ZnSi3.

a b c (Å): 3.930 3.930 3.930
angles (deg): 90.00 90.00 90.00
Element x y z (fractional)
Si: 0.500 0.500 0.000
Si: 0.500 0.000 0.500
Si: 0.000 0.500 0.500
Zn: 0.000 0.000 0.000

Results
- Total energy after the MP2020 corrections: -15.4 eV per formula unit
- ΔE to the lowest computed polymorph: 0.0031 eV/atom
- Formation energy: 50 kJ per mole of atoms
- Space-group type: Pm-3m

4.
VASP calculation (PBE-GGA) on an optimized crystal structure of Sr3Ti5O13.

a b c (Å): 5.666 11.837 31.871
angles (deg): 90.00 90.81 90.00
Element x y z (fractional)
Ti: 0.158 0.769 0.724
Ti: 0.000 0.500 0.000
Ti: 0.497 0.165 0.912
Ti: 0.000 0.165 0.000
Ti: 0.497 0.500 0.915
Ti: 0.022 0.500 0.166
Ti: 0.503 0.500 0.085
Ti: 0.663 0.139 0.729
Ti: 0.337 0.139 0.271
Ti: 0.503 0.835 0.088
Ti: 0.158 0.231 0.724
Ti: 0.497 0.835 0.912
Ti: 0.842 0.231 0.276
Ti: 0.009 0.831 0.174
Ti: 0.663 0.861 0.729
Ti: 0.991 0.169 0.826
Ti: 0.009 0.169 0.174
Ti: 0.503 0.165 0.088
Ti: 0.000 0.835 0.000
Ti: 0.991 0.831 0.826
Ti: 0.337 0.861 0.271
Ti: 0.997 0.500 0.747
Ti: 0.978 0.500 0.834
Ti: 0.842 0.769 0.276
Ti: 0.003 0.500 0.253
O: 0.975 0.333 0.835
O: 0.451 0.770 0.701
O: 0.780 0.804 0.220
O: 0.242 0.167 0.956
O: 0.246 0.839 0.867
O: 0.275 0.183 0.217
O: 0.223 0.500 0.788
O: 0.223 0.500 0.049
O: 0.275 0.817 0.217
O: 0.975 0.667 0.835
O: 0.945 0.871 0.703
O: 0.002 0.000 0.178
O: 0.246 0.161 0.867
O: 0.220 0.196 0.780
O: 0.549 0.230 0.299
O: 0.494 0.669 0.913
O: 0.739 0.156 0.869
O: 0.506 0.331 0.087
O: 0.758 0.833 0.044
O: 0.255 0.834 0.043
O: 0.688 0.500 0.865
O: 0.549 0.770 0.299
O: 0.280 0.500 0.963
O: 0.754 0.161 0.133
O: 0.017 0.633 0.717
O: 0.000 0.666 0.000
O: 0.000 0.000 0.000
O: 0.983 0.367 0.283
O: 0.753 0.500 0.782
O: 0.242 0.833 0.956
O: 0.055 0.871 0.297
O: 0.739 0.844 0.869
O: 0.945 0.129 0.703
O: 0.525 0.000 0.737
O: 0.797 0.500 0.122
O: 0.487 0.000 0.915
O: 0.247 0.500 0.218
O: 0.025 0.333 0.165
O: 0.255 0.166 0.043
O: 0.017 0.367 0.717
O: 0.998 0.000 0.822
O: 0.777 0.500 0.212
O: 0.261 0.156 0.131
O: 0.451 0.230 0.701
O: 0.777 0.500 0.951
O: 0.261 0.844 0.131
O: 0.513 0.000 0.085
O: 0.745 0.834 0.957
O: 0.000 0.334 0.000
O: 0.758 0.167 0.044
O: 0.754 0.839 0.133
O: 0.745 0.166 0.957
O: 0.203 0.500 0.878
O: 0.475 0.000 0.263
O: 0.720 0.500 0.037
O: 0.983 0.633 0.283
O: 0.780 0.196 0.220
O: 0.725 0.183 0.783
O: 0.220 0.804 0.780
O: 0.494 0.331 0.913
O: 0.055 0.129 0.297
O: 0.506 0.669 0.087
O: 0.725 0.817 0.783
O: 0.025 0.667 0.165
O: 0.312 0.500 0.135
Sr: 0.996 0.000 0.912
Sr: 0.500 0.673 0.000
Sr: 0.998 0.673 0.915
Sr: 0.485 0.000 0.821
Sr: 0.491 0.337 0.822
Sr: 0.002 0.673 0.085
Sr: 0.500 0.327 0.000
Sr: 0.002 0.327 0.085
Sr: 0.500 0.000 0.000
Sr: 0.509 0.663 0.178
Sr: 0.515 0.000 0.179
Sr: 0.004 0.000 0.088
Sr: 0.998 0.327 0.915
Sr: 0.491 0.663 0.822
Sr: 0.509 0.337 0.178

Results
- Total energy after the MP2020 corrections: -182.3 eV per formula unit
- Formation energy: -337 kJ per mole of atoms
- Space-group type: P2/m

5.
VASP calculation (PBE-GGA) on an optimized crystal structure of LiZnBP2O11.

a b c (Å): 9.649 9.649 15.402
angles (deg): 90.00 90.00 120.00
Element x y z (fractional)
Li: 0.888 0.191 0.376
Li: 0.302 0.112 0.042
Li: 0.809 0.698 0.709
Li: 0.191 0.302 0.209
Li: 0.698 0.888 0.542
Li: 0.112 0.809 0.876
O: 0.755 0.577 0.051
O: 0.753 0.179 0.865
O: 0.922 0.625 0.915
O: 0.178 0.755 0.218
O: 0.613 0.484 0.912
O: 0.703 0.078 0.581
O: 0.310 0.385 0.832
O: 0.926 0.200 0.230
O: 0.822 0.245 0.718
O: 0.516 0.130 0.245
O: 0.690 0.615 0.332
O: 0.789 0.015 0.982
O: 0.484 0.870 0.745
O: 0.787 0.992 0.771
O: 0.870 0.387 0.579
O: 0.794 0.787 0.938
O: 0.297 0.922 0.081
O: 0.015 0.226 0.816
O: 0.211 0.985 0.482
O: 0.742 0.233 0.445
O: 0.474 0.618 0.174
O: 0.615 0.925 0.165
O: 0.274 0.074 0.897
O: 0.821 0.573 0.198
O: 0.258 0.767 0.945
O: 0.382 0.856 0.508
O: 0.144 0.526 0.841
O: 0.213 0.008 0.271
O: 0.008 0.794 0.104
O: 0.856 0.474 0.341
O: 0.200 0.274 0.064
O: 0.767 0.508 0.778
O: 0.737 0.604 0.518
O: 0.573 0.753 0.031
O: 0.774 0.789 0.149
O: 0.245 0.423 0.551
O: 0.179 0.427 0.698
O: 0.263 0.396 0.018
O: 0.577 0.822 0.885
O: 0.992 0.206 0.604
O: 0.233 0.492 0.278
O: 0.985 0.774 0.316
O: 0.618 0.144 0.008
O: 0.604 0.868 0.351
O: 0.375 0.297 0.248
O: 0.423 0.178 0.385
O: 0.508 0.742 0.611
O: 0.726 0.926 0.397
O: 0.387 0.516 0.412
O: 0.130 0.613 0.079
O: 0.226 0.211 0.649
O: 0.078 0.375 0.415
O: 0.074 0.800 0.730
O: 0.132 0.737 0.685
O: 0.800 0.726 0.564
O: 0.868 0.263 0.185
O: 0.625 0.703 0.748
O: 0.526 0.382 0.674
O: 0.247 0.821 0.365
O: 0.075 0.690 0.499
O: 0.206 0.213 0.438
O: 0.385 0.075 0.665
O: 0.925 0.310 0.999
O: 0.396 0.132 0.851
O: 0.427 0.247 0.531
O: 0.492 0.258 0.111
P: 0.166 0.394 0.798
P: 0.228 0.834 0.465
P: 0.834 0.606 0.298
P: 0.769 0.615 0.953
P: 0.615 0.846 0.786
P: 0.385 0.154 0.286
P: 0.846 0.231 0.620
P: 0.154 0.769 0.120
P: 0.606 0.772 0.132
P: 0.231 0.385 0.453
P: 0.394 0.228 0.632
P: 0.772 0.166 0.965
Zn: 0.534 0.063 0.125
Zn: 0.471 0.534 0.292
Zn: 0.063 0.529 0.958
Zn: 0.937 0.471 0.458
Zn: 0.529 0.466 0.792
Zn: 0.466 0.937 0.625
B: 0.163 0.318 0.627
B: 0.837 0.682 0.127
B: 0.318 0.154 0.460
B: 0.154 0.837 0.293
B: 0.846 0.163 0.793
B: 0.682 0.846 0.960

Results
- Total energy after the MP2020 corrections: -101.8 eV per formula unit
- Formation energy: -161 kJ per mole of atoms
- Space-group type: P6_1

6.
VASP calculation (PBE-GGA) on an optimized crystal structure of Ba6Pr2MgRu4O18.

a b c (Å): 6.030 6.030 15.521
angles (deg): 90.00 90.00 120.00
Element x y z (fractional)
O: 0.510 0.021 0.750
O: 0.644 0.822 0.091
O: 0.487 0.974 0.250
O: 0.178 0.356 0.409
O: 0.178 0.822 0.409
O: 0.357 0.179 0.592
O: 0.821 0.179 0.908
O: 0.178 0.822 0.091
O: 0.178 0.356 0.091
O: 0.821 0.179 0.592
O: 0.357 0.179 0.908
O: 0.487 0.513 0.250
O: 0.821 0.643 0.592
O: 0.979 0.490 0.750
O: 0.821 0.643 0.908
O: 0.644 0.822 0.409
O: 0.026 0.513 0.250
O: 0.510 0.490 0.750
Ba: 0.667 0.333 0.452
Ba: 0.333 0.667 0.615
Ba: 0.000 0.000 0.250
Ba: 0.333 0.667 0.885
Ba: 0.667 0.333 0.048
Ba: 0.000 0.000 0.750
Pr: 0.000 0.000 0.502
Pr: 0.000 0.000 0.998
Mg: 0.667 0.333 0.250
Ru: 0.667 0.333 0.831
Ru: 0.333 0.667 0.160
Ru: 0.333 0.667 0.340
Ru: 0.667 0.333 0.669

Results
- Total energy after the MP2020 corrections: -226.2 eV per formula unit
- Formation energy: -241 kJ per mole of atoms
- Space-group type: P-6m2